1.
# MgCr2Fe3NiP6O24, relaxed, DFT GGA+U
# Total moment, μB per formula unit: 3.8
# Symmetry: No. 146
data_MgCr2Fe3NiP6O24
_cell_length_a 8.5432
_cell_length_b 8.5432
_cell_length_c 8.5432
_cell_angle_alpha 60.85
_cell_angle_beta 60.85
_cell_angle_gamma 60.85
_space_group_name_H-M_alt 'P 1'
_space_group_IT_number 1
loop_
_space_group_symop_operation_xyz
'x,y,z'
loop_
_atom_site_label
_atom_site_type_symbol
_atom_site_fract_x
_atom_site_fract_y
_atom_site_fract_z
_atom_site_occupancy
Mg1 Mg 0.0000 0.0000 0.0000 1
Cr1 Cr 0.1353 0.1353 0.1353 1
Cr2 Cr 0.6262 0.6262 0.6262 1
Fe1 Fe 0.2806 0.2806 0.2806 1
Fe2 Fe 0.4806 0.4806 0.4806 1
Fe3 Fe 0.8789 0.8789 0.8789 1
Ni1 Ni 0.7597 0.7597 0.7597 1
P1 P 0.0838 0.3809 0.6783 1
P2 P 0.1851 0.8802 0.5755 1
P3 P 0.3809 0.6783 0.0838 1
P4 P 0.5755 0.1851 0.8802 1
P5 P 0.6783 0.0838 0.3809 1
P6 P 0.8802 0.5755 0.1851 1
O1 O 0.0200 0.8209 0.6214 1
O2 O 0.0370 0.3747 0.2047 1
O3 O 0.0783 0.2357 0.8833 1
O4 O 0.1342 0.9414 0.7417 1
O5 O 0.1414 0.2883 0.5356 1
O6 O 0.2047 0.0370 0.3747 1
O7 O 0.2247 0.4769 0.6166 1
O8 O 0.2357 0.8833 0.0783 1
O9 O 0.2883 0.5356 0.1414 1
O10 O 0.3747 0.2047 0.0370 1
O11 O 0.3847 0.7222 0.5599 1
O12 O 0.4769 0.6166 0.2247 1
O13 O 0.5242 0.6874 0.8763 1
O14 O 0.5356 0.1414 0.2883 1
O15 O 0.5599 0.3847 0.7222 1
O16 O 0.6166 0.2247 0.4769 1
O17 O 0.6214 0.0200 0.8209 1
O18 O 0.6874 0.8763 0.5242 1
O19 O 0.7222 0.5598 0.3847 1
O20 O 0.7417 0.1342 0.9414 1
O21 O 0.8209 0.6214 0.0200 1
O22 O 0.8763 0.5242 0.6874 1
O23 O 0.8833 0.0783 0.2357 1
O24 O 0.9414 0.7417 0.1342 1

=====

2.
# MgCr2Fe3NiP6O24, relaxed, DFT GGA+U
# Total moment, μB per formula unit: 22.0
# Symmetry: No. 146
data_MgCr2Fe3NiP6O24
_cell_length_a 8.6006
_cell_length_b 8.6006
_cell_length_c 8.6006
_cell_angle_alpha 60.39
_cell_angle_beta 60.39
_cell_angle_gamma 60.39
_space_group_name_H-M_alt 'P 1'
_space_group_IT_number 1
loop_
_space_group_symop_operation_xyz
'x,y,z'
loop_
_atom_site_label
_atom_site_type_symbol
_atom_site_fract_x
_atom_site_fract_y
_atom_site_fract_z
_atom_site_occupancy
Mg1 Mg 0.0000 0.0000 0.0000 1
Cr1 Cr 0.2601 0.2601 0.2601 1
Cr2 Cr 0.7511 0.7511 0.7511 1
Fe1 Fe 0.1231 0.1231 0.1231 1
Fe2 Fe 0.4049 0.4049 0.4049 1
Fe3 Fe 0.8822 0.8822 0.8822 1
Ni1 Ni 0.6096 0.6096 0.6096 1
P1 P 0.0055 0.3078 0.7041 1
P2 P 0.2140 0.7987 0.5040 1
P3 P 0.3078 0.7041 0.0055 1
P4 P 0.5040 0.2140 0.7987 1
P5 P 0.7041 0.0055 0.3078 1
P6 P 0.7987 0.5040 0.2140 1
O1 O 0.0048 0.8087 0.6431 1
O2 O 0.0093 0.3525 0.1985 1
O3 O 0.0711 0.2442 0.8728 1
O4 O 0.1459 0.7540 0.9415 1
O5 O 0.1649 0.3216 0.5048 1
O6 O 0.1985 0.0093 0.3525 1
O7 O 0.2442 0.8728 0.0711 1
O8 O 0.2737 0.6598 0.4073 1
O9 O 0.3216 0.5048 0.1649 1
O10 O 0.3495 0.7550 0.5924 1
O11 O 0.3525 0.1985 0.0093 1
O12 O 0.4073 0.2737 0.6598 1
O13 O 0.5048 0.1649 0.3216 1
O14 O 0.5074 0.6911 0.8543 1
O15 O 0.5924 0.3495 0.7550 1
O16 O 0.6431 0.0048 0.8087 1
O17 O 0.6598 0.4073 0.2737 1
O18 O 0.6911 0.8543 0.5074 1
O19 O 0.7540 0.9415 0.1459 1
O20 O 0.7550 0.5924 0.3495 1
O21 O 0.8087 0.6431 0.0048 1
O22 O 0.8543 0.5074 0.6911 1
O23 O 0.8728 0.0711 0.2442 1
O24 O 0.9415 0.1459 0.7540 1

=====

Which is most stable? The ranking, best first, is 1, 2.

=====

1.
# MgCr2Fe3NiP6O24, relaxed, DFT GGA+U
# Total moment, μB per formula unit: 24.0
# Symmetry: No. 1
data_MgCr2Fe3NiP6O24
_cell_length_a 8.3862
_cell_length_b 8.6121
_cell_length_c 8.6149
_cell_angle_alpha 60.79
_cell_angle_beta 61.47
_cell_angle_gamma 61.53
_space_group_name_H-M_alt 'P 1'
_space_group_IT_number 1
loop_
_space_group_symop_operation_xyz
'x,y,z'
loop_
_atom_site_label
_atom_site_type_symbol
_atom_site_fract_x
_atom_site_fract_y
_atom_site_fract_z
_atom_site_occupancy
Mg1 Mg 0.0000 0.0000 0.0000 1
Cr1 Cr 0.2528 0.6269 0.8656 1
Cr2 Cr 0.7397 0.1382 0.3775 1
Fe1 Fe 0.1040 0.4916 0.7163 1
Fe2 Fe 0.5960 0.9835 0.2264 1
Fe3 Fe 0.8901 0.2801 0.5104 1
Ni1 Ni 0.3961 0.7727 0.0213 1
P1 P 0.0007 0.6707 0.3186 1
P2 P 0.1863 0.1819 0.1135 1
P3 P 0.2923 0.0917 0.6076 1
P4 P 0.4951 0.5911 0.4207 1
P5 P 0.7053 0.3880 0.9066 1
P6 P 0.8043 0.8846 0.8294 1
O1 O 0.0031 0.7211 0.8117 1
O2 O 0.0655 0.6334 0.4740 1
O3 O 0.1487 0.1370 0.5207 1
O4 O 0.1555 0.6984 0.1118 1
O5 O 0.1903 0.0434 0.0459 1
O6 O 0.1912 0.3793 0.9551 1
O7 O 0.2453 0.2444 0.6798 1
O8 O 0.2745 0.9022 0.7834 1
O9 O 0.3328 0.5831 0.6207 1
O10 O 0.3629 0.1095 0.1700 1
O11 O 0.4219 0.6287 0.2726 1
O12 O 0.4990 0.0610 0.4642 1
O13 O 0.5008 0.5340 0.9229 1
O14 O 0.5693 0.7438 0.3790 1
O15 O 0.6359 0.8249 0.8929 1
O16 O 0.6447 0.3927 0.4533 1
O17 O 0.7105 0.2154 0.0967 1
O18 O 0.7704 0.3100 0.7537 1
O19 O 0.7957 0.9492 0.9753 1
O20 O 0.8177 0.0394 0.6331 1
O21 O 0.8512 0.4692 0.8715 1
O22 O 0.8540 0.8758 0.2848 1
O23 O 0.9328 0.5202 0.3531 1
O24 O 0.9905 0.2094 0.2726 1

=====

2.
# MgCr2Fe3NiP6O24, relaxed, DFT GGA+U
# Total moment, μB per formula unit: 20.0
# Symmetry: No. 1
data_MgCr2Fe3NiP6O24
_cell_length_a 8.6058
_cell_length_b 8.6221
_cell_length_c 8.6574
_cell_angle_alpha 118.98
_cell_angle_beta 90.69
_cell_angle_gamma 119.66
_space_group_name_H-M_alt 'P 1'
_space_group_IT_number 1
loop_
_space_group_symop_operation_xyz
'x,y,z'
loop_
_atom_site_label
_atom_site_type_symbol
_atom_site_fract_x
_atom_site_fract_y
_atom_site_fract_z
_atom_site_occupancy
Mg1 Mg 0.0000 0.0000 0.0000 1
Cr1 Cr 0.3791 0.2468 0.6251 1
Cr2 Cr 0.8723 0.2653 0.1358 1
Fe1 Fe 0.2368 0.5196 0.7582 1
Fe2 Fe 0.5207 0.9521 0.4759 1
Fe3 Fe 0.7296 0.5516 0.2770 1
Ni1 Ni 0.1224 0.7717 0.8925 1
P1 P 0.1251 0.7682 0.5879 1
P2 P 0.3336 0.4625 0.0830 1
P3 P 0.4230 0.0596 0.1837 1
P4 P 0.6196 0.7415 0.6631 1
P5 P 0.8223 0.4560 0.8788 1
P6 P 0.9173 0.0486 0.3798 1
O1 O 0.0665 0.8777 0.7533 1
O2 O 0.1218 0.2095 0.5373 1
O3 O 0.1309 0.3053 0.0681 1
O4 O 0.1861 0.6486 0.6364 1
O5 O 0.2566 0.0677 0.1305 1
O6 O 0.2934 0.9535 0.5801 1
O7 O 0.3278 0.4170 0.8787 1
O8 O 0.3712 0.8337 0.0184 1
O9 O 0.3935 0.6941 0.2239 1
O10 O 0.4294 0.0858 0.3773 1
O11 O 0.4587 0.5427 0.6687 1
O12 O 0.4788 0.4260 0.1294 1
O13 O 0.5265 0.8241 0.6019 1
O14 O 0.6205 0.2336 0.2050 1
O15 O 0.6276 0.2846 0.7158 1
O16 O 0.6996 0.6433 0.5190 1
O17 O 0.7611 0.9223 0.8603 1
O18 O 0.7759 0.0819 0.4714 1
O19 O 0.8062 0.4160 0.0355 1
O20 O 0.8688 0.8226 0.2962 1
O21 O 0.8759 0.6815 0.9402 1
O22 O 0.9314 0.1085 0.2361 1
O23 O 0.9724 0.6008 0.3952 1
O24 O 0.9884 0.4447 0.8158 1

=====

Which is most stable? The ranking, best first, is 1, 2.